Entry 1:
Density functional theory data (PBE) for a relaxed structure of BeH12C4S2Br2.

Cell lengths 10.2916, 10.1067, 10.8261 Å; angles 90.00, 90.00, 90.00 degrees
With the nearest neighbours (Å) after each atom.
Element x y z (fractional)
Be (0.0000, 0.1997, 0.2500)  2 Br 2.13, 2 S 2.19
Be (0.0000, 0.8003, 0.7500)  2 Br 2.13, 2 S 2.19
Be (0.5000, 0.3003, 0.7500)  2 Br 2.13, 2 S 2.19
Be (0.5000, 0.6997, 0.2500)  2 Br 2.13, 2 S 2.19
H (0.0927, 0.0599, 0.5659)  1 C 1.10
H (0.0927, 0.9401, 0.0659)  1 C 1.10
H (0.1110, 0.4161, 0.7681)  1 C 1.10
H (0.1110, 0.5839, 0.2681)  1 C 1.10
H (0.1788, 0.0899, 0.0290)  1 C 1.10
H (0.1788, 0.9101, 0.5290)  1 C 1.10
H (0.1834, 0.2763, 0.6902)  1 C 1.10
H (0.1834, 0.7237, 0.1902)  1 C 1.10
H (0.2006, 0.2957, 0.8548)  1 C 1.09
H (0.2006, 0.7043, 0.3548)  1 C 1.09
H (0.2339, 0.4448, 0.0799)  1 C 1.10
H (0.2339, 0.5552, 0.5799)  1 C 1.10
H (0.2661, 0.0552, 0.5799)  1 C 1.10
H (0.2661, 0.9448, 0.0799)  1 C 1.10
H (0.2994, 0.2043, 0.3548)  1 C 1.09
H (0.2994, 0.7957, 0.8548)  1 C 1.09
H (0.3166, 0.2237, 0.1902)  1 C 1.10
H (0.3166, 0.7763, 0.6902)  1 C 1.10
H (0.3212, 0.4101, 0.5290)  1 C 1.10
H (0.3212, 0.5899, 0.0290)  1 C 1.10
H (0.3890, 0.0839, 0.2681)  1 C 1.10
H (0.3890, 0.9161, 0.7681)  1 C 1.10
H (0.4073, 0.4401, 0.0659)  1 C 1.10
H (0.4073, 0.5599, 0.5659)  1 C 1.10
H (0.5927, 0.4401, 0.4341)  1 C 1.10
H (0.5927, 0.5599, 0.9341)  1 C 1.10
H (0.6110, 0.0839, 0.2319)  1 C 1.10
H (0.6110, 0.9161, 0.7319)  1 C 1.10
H (0.6788, 0.4101, 0.9710)  1 C 1.10
H (0.6788, 0.5899, 0.4710)  1 C 1.10
H (0.6834, 0.2237, 0.3098)  1 C 1.10
H (0.6834, 0.7763, 0.8098)  1 C 1.10
H (0.7006, 0.2043, 0.1452)  1 C 1.09
H (0.7006, 0.7957, 0.6452)  1 C 1.09
H (0.7339, 0.0552, 0.9201)  1 C 1.10
H (0.7339, 0.9448, 0.4201)  1 C 1.10
H (0.7661, 0.4448, 0.4201)  1 C 1.10
H (0.7661, 0.5552, 0.9201)  1 C 1.10
H (0.7994, 0.2957, 0.6452)  1 C 1.09
H (0.7994, 0.7043, 0.1452)  1 C 1.09
H (0.8166, 0.2763, 0.8098)  1 C 1.10
H (0.8166, 0.7237, 0.3098)  1 C 1.10
H (0.8212, 0.0899, 0.4710)  1 C 1.10
H (0.8212, 0.9101, 0.9710)  1 C 1.10
H (0.8890, 0.4161, 0.7319)  1 C 1.10
H (0.8890, 0.5839, 0.2319)  1 C 1.10
H (0.9073, 0.0599, 0.9341)  1 C 1.10
H (0.9073, 0.9401, 0.4341)  1 C 1.10
C (0.1763, 0.0027, 0.0892)  3 H 1.10
C (0.1763, 0.9973, 0.5892)  3 H 1.10
C (0.1936, 0.3473, 0.7663)  3 H 1.09-1.10
C (0.1936, 0.6527, 0.2663)  3 H 1.09-1.10
C (0.3064, 0.1527, 0.2663)  3 H 1.09-1.10
C (0.3064, 0.8473, 0.7663)  3 H 1.09-1.10
C (0.3237, 0.4973, 0.5892)  3 H 1.10
C (0.3237, 0.5027, 0.0892)  3 H 1.10
C (0.6763, 0.4973, 0.9108)  3 H 1.10
C (0.6763, 0.5027, 0.4108)  3 H 1.10
C (0.6936, 0.1527, 0.2337)  3 H 1.09-1.10
C (0.6936, 0.8473, 0.7337)  3 H 1.09-1.10
C (0.8064, 0.3473, 0.7337)  3 H 1.09-1.10
C (0.8064, 0.6527, 0.2337)  3 H 1.09-1.10
C (0.8237, 0.0027, 0.4108)  3 H 1.10
C (0.8237, 0.9973, 0.9108)  3 H 1.10
S (0.1596, 0.0570, 0.2475)  2 C 1.81
S (0.1596, 0.9430, 0.7475)  2 C 1.81
S (0.3404, 0.4430, 0.7475)  2 C 1.81
S (0.3404, 0.5570, 0.2475)  2 C 1.81
S (0.6596, 0.4430, 0.7525)  2 C 1.81
S (0.6596, 0.5570, 0.2525)  2 C 1.81
S (0.8404, 0.0570, 0.2525)  2 C 1.81
S (0.8404, 0.9430, 0.7525)  2 C 1.81
Br (0.0161, 0.3094, 0.4176)  1 Be 2.13
Br (0.0161, 0.6906, 0.9176)  1 Be 2.13
Br (0.4839, 0.1906, 0.9176)  1 Be 2.13
Br (0.4839, 0.8094, 0.4176)  1 Be 2.13
Br (0.5161, 0.1906, 0.5824)  1 Be 2.13
Br (0.5161, 0.8094, 0.0824)  1 Be 2.13
Br (0.9839, 0.3094, 0.0824)  1 Be 2.13
Br (0.9839, 0.6906, 0.5824)  1 Be 2.13

The corrected total energy (MP2020 scheme) is -405.93 eV per cell. Its total energy is -99.41 eV per formula unit. The volume comes out at 1126 Å³/cell.



Entry 2:
Density functional theory data (PBE) for a relaxed structure of CaTi4O6.

Cell lengths 5.1880, 5.1880, 15.1339 Å; angles 90.00, 90.00, 145.60 degrees
With the nearest neighbours (Å) after each atom.
Element x y z (fractional)
Ca (0.1537, 0.8463, 0.7500)  8 O 2.35-2.61
Ca (0.8463, 0.1537, 0.2500)  8 O 2.35-2.61
Ti (0.1017, 0.8983, 0.1266)  6 O 1.98-2.17
Ti (0.1017, 0.8983, 0.3734)  6 O 1.98-2.17
Ti (0.3502, 0.6498, 0.0400)  6 O 2.06-2.22
Ti (0.3502, 0.6498, 0.4600)  6 O 2.06-2.22
Ti (0.6498, 0.3502, 0.5400)  6 O 2.06-2.22
Ti (0.6498, 0.3502, 0.9600)  6 O 2.06-2.22
Ti (0.8983, 0.1017, 0.6266)  6 O 1.98-2.17
Ti (0.8983, 0.1017, 0.8734)  6 O 1.98-2.17
O (0.0000, 0.0000, 0.0000)  6 Ti 2.17-2.22
O (0.0000, 0.0000, 0.5000)  6 Ti 2.17-2.22
O (0.1672, 0.8328, 0.2500)  2 Ti 1.98
O (0.2643, 0.7357, 0.5935)  5 Ti 2.07-2.19
O (0.2643, 0.7357, 0.9065)  5 Ti 2.07-2.19
O (0.4640, 0.5360, 0.1539)  3 Ti 2.06-2.09
O (0.4640, 0.5360, 0.3461)  3 Ti 2.06-2.09
O (0.5360, 0.4640, 0.6539)  3 Ti 2.06-2.09
O (0.5360, 0.4640, 0.8461)  3 Ti 2.06-2.09
O (0.7357, 0.2643, 0.0935)  5 Ti 2.07-2.19
O (0.7357, 0.2643, 0.4065)  5 Ti 2.07-2.19
O (0.8328, 0.1672, 0.7500)  2 Ti 1.98

The corrected total energy (MP2020 scheme) is -195.42 eV per cell. Its total energy is -93.59 eV per formula unit. The volume comes out at 230 Å³/cell.



Entry 3:
Density functional theory data (PBE) for a relaxed structure of Mn6Zn2CN.

Cell lengths 3.8800, 3.8800, 7.6036 Å; angles 90.00, 90.00, 90.00 degrees
With the nearest neighbours (Å) after each atom.
Element x y z (fractional)
Mn (0.0000, 0.0000, 0.2488)  1 N 1.89, 1 C 1.91
Mn (0.0000, 0.0000, 0.7512)  1 N 1.89, 1 C 1.91
Mn (0.0000, 0.5000, 0.0000)  2 N 1.94
Mn (0.0000, 0.5000, 0.5000)  2 C 1.94
Mn (0.5000, 0.0000, 0.0000)  2 N 1.94
Mn (0.5000, 0.0000, 0.5000)  2 C 1.94
Zn (0.5000, 0.5000, 0.2515)  12 Mn 2.71-2.74
Zn (0.5000, 0.5000, 0.7485)  12 Mn 2.71-2.74
C (0.0000, 0.0000, 0.5000)  6 Mn 1.91-1.94
N (0.0000, 0.0000, 0.0000)  6 Mn 1.89-1.94

The corrected total energy (MP2020 scheme) is -76.51 eV per cell. Its total energy is -76.15 eV per formula unit. The volume comes out at 114 Å³/cell.



Entry 4:
Density functional theory data (PBE) for a relaxed structure of Ca4AlSiH24SO16F13.

Cell lengths 11.9598, 11.9598, 11.9488 Å; angles 119.97, 119.97, 90.00 degrees
With the nearest neighbours (Å) after each atom.
Element x y z (fractional)
Ca (0.1253, 0.2019, 0.4142)  4 F 2.31-2.48, 3 O 2.39-2.47
Ca (0.2019, 0.1253, 0.9142)  4 F 2.31-2.48, 3 O 2.39-2.47
Ca (0.2050, 0.7944, 0.9204)  4 F 2.29-2.47, 3 O 2.39-2.47
Ca (0.2056, 0.7950, 0.5796)  4 F 2.29-2.47, 3 O 2.39-2.47
Ca (0.7944, 0.2050, 0.4204)  4 F 2.29-2.47, 3 O 2.39-2.47
Ca (0.7950, 0.2056, 0.0796)  4 F 2.29-2.47, 3 O 2.39-2.47
Ca (0.7981, 0.8747, 0.0858)  4 F 2.31-2.48, 3 O 2.39-2.47
Ca (0.8747, 0.7981, 0.5858)  4 F 2.31-2.48, 3 O 2.39-2.47
Al (0.0000, 0.0000, 0.0000)  6 F 1.81-1.83
Al (0.0000, 0.0000, 0.5000)  6 F 1.81-1.83
Si (0.0000, 0.5000, 0.5000)  6 F 1.71-1.72
Si (0.5000, 0.0000, 0.0000)  6 F 1.71-1.72
H (0.0491, 0.5096, 0.7911)  1 O 0.98
H (0.0498, 0.2792, 0.0395)  1 O 0.98
H (0.0497, 0.7602, 0.2707)  1 O 0.98
H (0.1415, 0.6664, 0.2493)  1 O 0.99
H (0.1416, 0.3927, 0.0592)  1 O 0.99
H (0.1420, 0.5835, 0.9759)  1 O 0.99
H (0.2399, 0.2789, 0.7897)  1 O 0.98
H (0.2398, 0.9503, 0.2293)  1 O 0.98
H (0.2422, 0.5100, 0.4610)  1 O 0.98
H (0.2792, 0.0498, 0.5395)  1 O 0.98
H (0.2789, 0.2399, 0.2897)  1 O 0.98
H (0.2814, 0.4901, 0.7323)  1 O 0.98
H (0.3334, 0.3918, 0.9748)  1 O 0.99
H (0.3338, 0.5840, 0.4422)  1 O 0.99
H (0.3336, 0.8585, 0.2507)  1 O 0.99
H (0.3918, 0.3334, 0.4748)  1 O 0.99
H (0.3921, 0.4165, 0.7502)  1 O 0.99
H (0.3927, 0.1416, 0.5592)  1 O 0.99
H (0.4165, 0.3921, 0.2502)  1 O 0.99
H (0.4160, 0.6662, 0.0578)  1 O 0.99
H (0.4165, 0.8580, 0.5241)  1 O 0.99
H (0.4901, 0.2814, 0.2323)  1 O 0.98
H (0.4900, 0.7578, 0.0390)  1 O 0.98
H (0.4904, 0.9509, 0.7089)  1 O 0.98
H (0.5096, 0.0491, 0.2911)  1 O 0.98
H (0.5100, 0.2422, 0.9610)  1 O 0.98
H (0.5099, 0.7186, 0.7677)  1 O 0.98
H (0.5835, 0.1420, 0.4759)  1 O 0.99
H (0.5840, 0.3338, 0.9422)  1 O 0.99
H (0.5835, 0.6079, 0.7498)  1 O 0.99
H (0.6073, 0.8584, 0.4408)  1 O 0.99
H (0.6079, 0.5835, 0.2498)  1 O 0.99
H (0.6082, 0.6666, 0.5252)  1 O 0.99
H (0.6664, 0.1415, 0.7493)  1 O 0.99
H (0.6662, 0.4160, 0.5578)  1 O 0.99
H (0.6666, 0.6082, 0.0252)  1 O 0.99
H (0.7186, 0.5099, 0.2677)  1 O 0.98
H (0.7211, 0.7601, 0.7103)  1 O 0.98
H (0.7208, 0.9502, 0.4605)  1 O 0.98
H (0.7578, 0.4900, 0.5390)  1 O 0.98
H (0.7602, 0.0497, 0.7707)  1 O 0.98
H (0.7601, 0.7211, 0.2103)  1 O 0.98
H (0.8580, 0.4165, 0.0241)  1 O 0.99
H (0.8584, 0.6073, 0.9408)  1 O 0.99
H (0.8585, 0.3336, 0.7507)  1 O 0.99
H (0.9503, 0.2398, 0.7293)  1 O 0.98
H (0.9502, 0.7208, 0.9605)  1 O 0.98
H (0.9509, 0.4904, 0.2089)  1 O 0.98
S (0.3749, 0.6251, 0.2500)  4 O 1.50
S (0.6251, 0.3749, 0.7500)  4 O 1.50
O (0.1011, 0.7085, 0.3087)  2 H 0.98-0.99
O (0.1017, 0.2932, 0.0022)  2 H 0.98-0.99
O (0.1029, 0.5996, 0.8924)  2 H 0.98-0.99
O (0.2216, 0.5742, 0.1476)  1 S 1.50
O (0.2903, 0.6006, 0.4984)  2 H 0.98-0.99
O (0.2915, 0.8989, 0.1913)  2 H 0.98-0.99
O (0.2922, 0.2917, 0.3927)  2 H 0.98-0.99
O (0.2917, 0.2922, 0.8927)  2 H 0.98-0.99
O (0.2932, 0.1017, 0.5022)  2 H 0.98-0.99
O (0.2927, 0.4001, 0.6899)  2 H 0.98-0.99
O (0.3994, 0.7097, 0.0016)  2 H 0.98-0.99
O (0.4001, 0.2927, 0.1899)  2 H 0.98-0.99
O (0.4004, 0.8971, 0.6076)  2 H 0.98-0.99
O (0.4262, 0.5743, 0.1478)  1 S 1.50
O (0.4257, 0.5738, 0.3522)  1 S 1.50
O (0.4258, 0.7784, 0.3524)  1 S 1.50
O (0.5742, 0.2216, 0.6476)  1 S 1.50
O (0.5743, 0.4262, 0.6478)  1 S 1.50
O (0.5738, 0.4257, 0.8522)  1 S 1.50
O (0.5996, 0.1029, 0.3924)  2 H 0.98-0.99
O (0.5999, 0.7073, 0.8101)  2 H 0.98-0.99
O (0.6006, 0.2903, 0.9984)  2 H 0.98-0.99
O (0.7073, 0.5999, 0.3101)  2 H 0.98-0.99
O (0.7068, 0.8983, 0.4978)  2 H 0.98-0.99
O (0.7083, 0.7078, 0.1073)  2 H 0.98-0.99
O (0.7078, 0.7083, 0.6073)  2 H 0.98-0.99
O (0.7085, 0.1011, 0.8087)  2 H 0.98-0.99
O (0.7097, 0.3994, 0.5016)  2 H 0.98-0.99
O (0.7784, 0.4258, 0.8524)  1 S 1.50
O (0.8971, 0.4004, 0.1076)  2 H 0.98-0.99
O (0.8983, 0.7068, 0.9978)  2 H 0.98-0.99
O (0.8989, 0.2915, 0.6913)  2 H 0.98-0.99
F (0.0074, 0.6021, 0.4404)  1 Si 1.71
F (0.0086, 0.0701, 0.6793)  1 Al 1.81
F (0.0086, 0.8278, 0.8978)  1 Al 1.83, 1 H 2.04
F (0.0665, 0.3977, 0.4051)  1 Si 1.71
F (0.0691, 0.1718, 0.5604)  1 Al 1.83
F (0.0701, 0.0086, 0.1793)  1 Al 1.81
F (0.1277, 0.8723, 0.7500)  4 Ca 2.43-2.47
F (0.1620, 0.6032, 0.6696)  1 Si 1.72
F (0.1718, 0.0691, 0.0604)  1 Al 1.83
F (0.1722, 0.9914, 0.6022)  1 Al 1.83, 1 H 2.04
F (0.3968, 0.8380, 0.8304)  1 Si 1.72
F (0.3977, 0.0665, 0.9051)  1 Si 1.71
F (0.3979, 0.9926, 0.0596)  1 Si 1.71
F (0.6021, 0.0074, 0.9404)  1 Si 1.71
F (0.6023, 0.9335, 0.0949)  1 Si 1.71
F (0.6032, 0.1620, 0.1696)  1 Si 1.72
F (0.8278, 0.0086, 0.3978)  1 Al 1.83, 1 H 2.04
F (0.8282, 0.9309, 0.9396)  1 Al 1.83
F (0.8380, 0.3968, 0.3304)  1 Si 1.72
F (0.8723, 0.1277, 0.2500)  4 Ca 2.43-2.47
F (0.9299, 0.9914, 0.8207)  1 Al 1.81
F (0.9309, 0.8282, 0.4396)  1 Al 1.83
F (0.9335, 0.6023, 0.5949)  1 Si 1.71
F (0.9914, 0.1722, 0.1022)  1 Al 1.83, 1 H 2.04
F (0.9914, 0.9299, 0.3207)  1 Al 1.81
F (0.9926, 0.3979, 0.5596)  1 Si 1.71

The corrected total energy (MP2020 scheme) is -678.00 eV per cell. Its total energy is -322.00 eV per formula unit. The volume comes out at 1210 Å³/cell.



Number 1: ΔH_f (0 K) -408 meV per atom, size of the total moment 0.00 μB/f.u.. Number 2: ΔH_f (0 K) -3131 meV per atom, size of the total moment 0.06 μB/f.u.. Number 3: ΔH_f (0 K) -145 meV per atom, size of the total moment 13.01 μB/f.u.. Number 4: ΔH_f (0 K) -2203 meV per atom, size of the total moment 0.00 μB/f.u..